(1)
{
  "formula": "ScBe5",
  "functional": "meta-GGA r2SCAN",
  "state": "optimized geometry",
  "lattice": [[-2.957, -0.216, -3.434], [2.874, -3.432, 0.738], [-2.366, -1.522, 2.133]],
  "species": ["Sc", "Be", "Be", "Be", "Be", "Be"],
  "frac_coords": [[0.000, 0.000, 0.000], [0.333, 0.667, 0.000], [0.667, 0.333, 0.000], [0.500, 0.000, 0.500], [0.500, 0.500, 0.500], [0.000, 0.500, 0.500]],
  "total_energy_ry_per_atom": -0.420,
  "vol_a3_per_cell": 63,
  "e_form_ev_per_atom": -0.204
}

***

(2)
{
  "formula": "ZrBeSi",
  "functional": "meta-GGA r2SCAN",
  "state": "optimized geometry",
  "lattice": [[3.731, 0.000, 0.000], [-1.865, 3.231, 0.000], [0.000, 0.000, 7.239]],
  "species": ["Zr", "Zr", "Be", "Be", "Si", "Si"],
  "frac_coords": [[0.000, 0.000, 0.500], [0.000, 0.000, 0.000], [0.667, 0.333, 0.750], [0.333, 0.667, 0.250], [0.667, 0.333, 0.250], [0.333, 0.667, 0.750]],
  "total_energy_ry_per_atom": -0.936,
  "vol_a3_per_cell": 87,
  "e_form_ev_per_atom": -0.786
}

***

(3)
{
  "formula": "SrBe13",
  "functional": "meta-GGA r2SCAN",
  "state": "optimized geometry",
  "lattice": [[-6.361, 1.364, -3.456], [-4.991, -5.362, -0.782], [-6.293, 0.238, 3.824]],
  "species": ["Sr", "Sr", "Be", "Be", "Be", "Be", "Be", "Be", "Be", "Be", "Be", "Be", "Be", "Be", "Be", "Be", "Be", "Be", "Be", "Be", "Be", "Be", "Be", "Be", "Be", "Be", "Be", "Be"],
  "frac_coords": [[0.250, 0.250, 0.250], [0.750, 0.750, 0.750], [0.000, 0.000, 0.000], [0.500, 0.500, 0.500], [0.286, 0.935, 0.065], [0.565, 0.435, 0.786], [0.786, 0.214, 0.565], [0.565, 0.786, 0.214], [0.435, 0.214, 0.786], [0.435, 0.786, 0.565], [0.786, 0.435, 0.214], [0.065, 0.286, 0.935], [0.935, 0.065, 0.286], [0.714, 0.286, 0.065], [0.935, 0.714, 0.065], [0.714, 0.935, 0.286], [0.065, 0.935, 0.714], [0.286, 0.065, 0.714], [0.286, 0.714, 0.935], [0.786, 0.565, 0.435], [0.214, 0.786, 0.435], [0.214, 0.565, 0.786], [0.565, 0.214, 0.435], [0.435, 0.565, 0.214], [0.214, 0.435, 0.565], [0.065, 0.714, 0.286], [0.714, 0.065, 0.935], [0.935, 0.286, 0.714]],
  "total_energy_ry_per_atom": -0.379,
  "vol_a3_per_cell": 283,
  "e_form_ev_per_atom": -0.052
}

***

(4)
{
  "formula": "TaBe2",
  "functional": "meta-GGA r2SCAN",
  "state": "optimized geometry",
  "lattice": [[0.399, 3.648, 2.781], [-1.423, -0.270, 4.371], [3.078, -0.042, 3.425]],
  "species": ["Ta", "Ta", "Be", "Be", "Be", "Be"],
  "frac_coords": [[0.875, 0.875, 0.875], [0.125, 0.125, 0.125], [0.500, 0.500, 0.500], [0.500, 0.500, 0.000], [0.000, 0.500, 0.500], [0.500, 0.000, 0.500]],
  "total_energy_ry_per_atom": -1.419,
  "vol_a3_per_cell": 69,
  "e_form_ev_per_atom": -0.215
}

***

(5)
{
  "formula": "TaBe3",
  "functional": "meta-GGA r2SCAN",
  "state": "optimized geometry",
  "lattice": [[0.287, 2.946, -3.455], [-0.864, -1.384, -4.247], [-6.913, 2.155, -1.732]],
  "species": ["Ta", "Ta", "Ta", "Be", "Be", "Be", "Be", "Be", "Be", "Be", "Be", "Be"],
  "frac_coords": [[0.140, 0.140, 0.580], [0.860, 0.860, 0.420], [0.000, 0.000, 0.000], [0.075, 0.584, 0.757], [0.584, 0.584, 0.757], [0.584, 0.075, 0.757], [0.925, 0.416, 0.243], [0.416, 0.416, 0.243], [0.416, 0.925, 0.243], [0.334, 0.334, 0.997], [0.666, 0.666, 0.003], [0.500, 0.500, 0.500]],
  "total_energy_ry_per_atom": -1.151,
  "vol_a3_per_cell": 125,
  "e_form_ev_per_atom": -0.259
}

***

(6)
{
  "formula": "Ta2Be17",
  "functional": "meta-GGA r2SCAN",
  "state": "optimized geometry",
  "lattice": [[3.677, 2.123, 3.567], [-3.677, 2.123, 3.567], [0.000, -4.246, 3.567]],
  "species": ["Ta", "Ta", "Be", "Be", "Be", "Be", "Be", "Be", "Be", "Be", "Be", "Be", "Be", "Be", "Be", "Be", "Be", "Be", "Be"],
  "frac_coords": [[0.840, 0.840, 0.840], [0.160, 0.160, 0.160], [0.599, 0.599, 0.599], [0.401, 0.401, 0.401], [0.500, 0.500, 0.000], [0.500, 0.000, 0.500], [0.000, 0.500, 0.500], [0.500, 0.204, 0.796], [0.204, 0.796, 0.500], [0.796, 0.500, 0.204], [0.500, 0.796, 0.204], [0.796, 0.204, 0.500], [0.204, 0.500, 0.796], [0.339, 0.847, 0.847], [0.847, 0.847, 0.339], [0.847, 0.339, 0.847], [0.661, 0.153, 0.153], [0.153, 0.153, 0.661], [0.153, 0.661, 0.153]],
  "total_energy_ry_per_atom": -0.675,
  "vol_a3_per_cell": 167,
  "e_form_ev_per_atom": -0.193
}

***

(7)
{
  "formula": "Ta2Be",
  "functional": "meta-GGA r2SCAN",
  "state": "optimized geometry",
  "lattice": [[-2.159, -0.231, 4.395], [-0.297, -4.295, 2.363], [2.660, 0.659, 4.076]],
  "species": ["Ta", "Ta", "Ta", "Ta", "Be", "Be"],
  "frac_coords": [[0.160, 0.500, 0.180], [0.340, 0.820, 0.500], [0.660, 0.180, 0.500], [0.840, 0.500, 0.820], [0.250, 0.000, 0.000], [0.750, 0.000, 0.000]],
  "total_energy_ry_per_atom": -2.500,
  "vol_a3_per_cell": 89,
  "e_form_ev_per_atom": -0.178
}

***

(8)
{
  "formula": "TaBe12",
  "functional": "meta-GGA r2SCAN",
  "state": "optimized geometry",
  "lattice": [[-1.190, 0.075, 4.036], [-1.003, -5.112, 1.994], [4.344, -0.361, 3.482]],
  "species": ["Ta", "Be", "Be", "Be", "Be", "Be", "Be", "Be", "Be", "Be", "Be", "Be", "Be"],
  "frac_coords": [[0.000, 0.000, 0.000], [0.000, 0.648, 0.352], [0.000, 0.500, 0.000], [0.648, 0.352, 0.352], [0.500, 0.215, 0.785], [0.000, 0.352, 0.648], [0.500, 0.000, 0.500], [0.352, 0.648, 0.648], [0.285, 0.215, 0.215], [0.500, 0.785, 0.215], [0.000, 0.000, 0.500], [0.715, 0.785, 0.785], [0.500, 0.500, 0.000]],
  "total_energy_ry_per_atom": -0.580,
  "vol_a3_per_cell": 112,
  "e_form_ev_per_atom": -0.150
}